## K4Li7Mn2O8 (PBE+U)

Data for a relaxed structure of K4Li7Mn2O8.

Properties
The polymorph energy (0 for the lowest one) comes out at 0.0 meV per atom. The calculation puts the total magnetic moment at 9.00 μB/f.u. The value obtained for the formation energy is -176.17 kJ/mol of atoms. As for the total energy: -210.45 eV per cell. Its space group is P1 (1).

Lattice parameters (Å, degrees): 5.7027 8.9753 10.9279 90.03 97.99 90.01
Closest atoms and distances in Å follow each position.
Atoms (fractional coordinates):
K  0.0000  0.0000  0.0000  3 O 2.63-2.78, 2 Li 2.83-2.93
K  0.0297  0.7516  0.5255  4 O 2.64-2.90, 3 Li 2.79-2.95
K  0.1968  0.7534  0.2041  3 O 2.55-2.82, 2 Li 2.71-2.80
K  0.2413  0.5044  0.7374  4 O 2.68-2.97, 3 Li 2.80-2.98
K  0.4920  0.9999  0.4897  3 O 2.68-2.82, 3 Li 2.84-2.96
K  0.5316  0.2497  0.0268  4 O 2.57-2.86, 2 Li 2.73-2.80
K  0.6970  0.2482  0.7042  4 O 2.61-2.88, 2 Li 2.78-2.79
K  0.7354  0.4951  0.2268  3 O 2.63-2.79, 2 Li 2.80-2.86
Li  0.0224  0.0034  0.6747  3 O 1.94-2.07
Li  0.0422  0.2591  0.1717  4 O 2.08-2.10
Li  0.1169  0.2555  0.8691  2 O 1.78-1.80
Li  0.1826  0.2258  0.5693  4 O 1.93-2.15
Li  0.2062  0.4959  0.0603  3 O 1.92-2.06
Li  0.3000  0.7306  0.9397  3 O 1.92-2.13
Li  0.4275  0.2301  0.2935  4 O 1.92-2.13
Li  0.5245  0.9967  0.1760  3 O 1.92-2.07
Li  0.5452  0.7280  0.6653  4 O 1.95-2.16
Li  0.6045  0.7377  0.3643  2 O 1.78-1.79
Li  0.6862  0.7624  0.0633  4 O 2.06-2.13
Li  0.7073  0.5038  0.5609  3 O 1.93-2.06
Li  0.8107  0.2589  0.4308  4 O 2.03-2.09
Li  0.9163  0.7599  0.8025  4 O 2.04-2.08
Mn  0.2733  0.4549  0.4184  3 O 1.90-1.92
Mn  0.4534  0.9571  0.8163  3 O 1.89-1.91
Mn  0.7789  0.5297  0.9187  4 O 2.04-2.16
Mn  0.9492  0.0270  0.3158  4 O 2.04-2.16
O  0.0111  0.4296  0.5088  1 Mn 1.92, 3 Li 2.01-2.14
O  0.2336  0.0663  0.2262  3 Li 1.92-2.09, 1 Mn 2.04
O  0.2457  0.8031  0.7507  1 Mn 1.89, 1 Li 2.07
O  0.2601  0.4358  0.2440  1 Mn 1.91, 3 Li 2.06-2.11
O  0.2641  0.1580  0.7580  1 Li 1.80
O  0.4577  0.6537  0.4812  1 Li 1.79
O  0.4737  0.9358  0.9913  1 Mn 1.91, 3 Li 2.06-2.13
O  0.4780  0.2986  0.4823  1 Mn 1.90, 1 Li 2.08
O  0.4919  0.5670  0.0067  3 Li 1.92-2.12, 1 Mn 2.04
O  0.7128  0.9307  0.7244  1 Mn 1.91, 3 Li 2.03-2.11
O  0.7397  0.2030  0.2478  3 Li 1.93-2.08, 1 Mn 2.06
O  0.7473  0.8312  0.2515  1 Li 1.78
O  0.7514  0.5659  0.7314  3 Li 1.93-2.08, 1 Mn 2.06
O  0.9771  0.3355  0.9889  1 Li 1.78
O  0.9780  0.0652  0.5034  3 Li 1.93-2.09, 1 Mn 2.06
O  0.9860  0.7071  0.9857  3 Li 1.94-2.07, 1 Mn 2.06